Entry w
The following is a PBE+U calculation of a geometry-optimized Na2PrWO6 structure, from the Materials Project.

Unit cell a=8.4135 b=8.4135 c=8.4135 alpha=90.00 beta=90.00 gamma=90.00
Fractional coordinates of all 40 atoms:
Na  0.5000  0.5000  0.5000
Na  0.0000  0.0000  0.0000
Na  0.0000  0.0000  0.5000
Na  0.0000  0.5000  0.0000
Na  0.5000  0.0000  0.0000
Na  0.5000  0.5000  0.0000
Na  0.5000  0.0000  0.5000
Na  0.0000  0.5000  0.5000
Pr  0.7500  0.7500  0.7500
Pr  0.7500  0.2500  0.2500
Pr  0.2500  0.7500  0.2500
Pr  0.2500  0.2500  0.7500
W  0.2500  0.2500  0.2500
W  0.2500  0.7500  0.7500
W  0.7500  0.2500  0.7500
W  0.7500  0.7500  0.2500
O  0.2115  0.2966  0.4742
O  0.2115  0.7034  0.5258
O  0.7885  0.2966  0.5258
O  0.7885  0.7034  0.4742
O  0.2966  0.4742  0.2115
O  0.7034  0.5258  0.2115
O  0.2966  0.5258  0.7885
O  0.7034  0.4742  0.7885
O  0.4742  0.2115  0.2966
O  0.5258  0.2115  0.7034
O  0.5258  0.7885  0.2966
O  0.4742  0.7885  0.7034
O  0.2885  0.2034  0.0258
O  0.2885  0.7966  0.9742
O  0.7115  0.2034  0.9742
O  0.7115  0.7966  0.0258
O  0.2034  0.0258  0.2885
O  0.7966  0.9742  0.2885
O  0.2034  0.9742  0.7115
O  0.7966  0.0258  0.7115
O  0.0258  0.2885  0.2034
O  0.9742  0.2885  0.7966
O  0.9742  0.7115  0.2034
O  0.0258  0.7115  0.7966

Properties
space group = No. 201
spin magnetization = 4.00 Bohr magnetons per cell

---

Entry x
The following is a PBE+U calculation of a geometry-optimized Na2PrWO6 structure, from the Materials Project.

Unit cell a=6.0710 b=6.0710 c=6.0710 alpha=60.00 beta=60.00 gamma=60.00
Fractional coordinates of all 10 atoms:
Na  0.2500  0.2500  0.2500
Na  0.7500  0.7500  0.7500
Pr  0.0000  0.0000  0.0000
W  0.5000  0.5000  0.5000
O  0.7265  0.2735  0.2735
O  0.2735  0.7265  0.7265
O  0.7265  0.2735  0.7265
O  0.2735  0.7265  0.2735
O  0.7265  0.7265  0.2735
O  0.2735  0.2735  0.7265

Properties
space group = No. 225
spin magnetization = 1.00 Bohr magnetons per cell

---

On energetic grounds, entry w is preferred over the next structure by 3.7 kJ/mol of atoms.

---

Entry w
The following is a PBE+U calculation of a geometry-optimized Na3SmV2O8 structure, from the Materials Project.

Unit cell a=14.9692 b=14.9692 c=14.3511 alpha=88.68 beta=88.68 gamma=21.71
Fractional coordinates of all 84 atoms:
Na  0.2919  0.2875  0.4173
Na  0.2875  0.2919  0.9173
Na  0.1791  0.1457  0.3276
Na  0.1457  0.1791  0.8276
Na  0.3337  0.4453  0.0753
Na  0.4453  0.3337  0.5753
Na  0.5438  0.4499  0.2352
Na  0.4499  0.5438  0.7352
Na  0.0531  0.0688  0.0086
Na  0.0688  0.0531  0.5086
Na  0.6075  0.5887  0.3909
Na  0.5887  0.6075  0.8909
Na  0.9334  0.9495  0.1541
Na  0.9495  0.9334  0.6541
Na  0.7156  0.7277  0.4742
Na  0.7277  0.7156  0.9742
Na  0.8072  0.8344  0.2950
Na  0.8344  0.8072  0.7950
Sm  0.5788  0.6607  0.6352
Sm  0.6607  0.5788  0.1352
Sm  0.0423  0.8426  0.4007
Sm  0.8426  0.0423  0.9007
Sm  0.2286  0.3053  0.1696
Sm  0.3053  0.2286  0.6696
V  0.7005  0.7282  0.2523
V  0.7282  0.7005  0.7523
V  0.0854  0.0240  0.2580
V  0.0240  0.0854  0.7580
V  0.1808  0.1656  0.0491
V  0.1656  0.1808  0.5491
V  0.8002  0.8638  0.0482
V  0.8638  0.8002  0.5482
V  0.4296  0.3412  0.3079
V  0.3412  0.4296  0.8079
V  0.4513  0.5492  0.0022
V  0.5492  0.4513  0.5022
O  0.9291  0.2136  0.1616
O  0.2136  0.9291  0.6616
O  0.4204  0.8749  0.0181
O  0.8749  0.4204  0.5181
O  0.4092  0.5840  0.3937
O  0.5840  0.4092  0.8937
O  0.4597  0.0174  0.2894
O  0.0174  0.4597  0.7894
O  0.3145  0.4662  0.4186
O  0.4662  0.3145  0.9186
O  0.0168  0.1500  0.3538
O  0.1500  0.0168  0.8538
O  0.1326  0.2107  0.1679
O  0.2107  0.1326  0.6679
O  0.5846  0.3467  0.0753
O  0.3467  0.5846  0.5753
O  0.8729  0.9075  0.5264
O  0.9075  0.8729  0.0264
O  0.3545  0.3031  0.2761
O  0.3031  0.3545  0.7761
O  0.6670  0.9661  0.6426
O  0.9661  0.6670  0.1426
O  0.7476  0.0546  0.3037
O  0.0546  0.7476  0.8037
O  0.4916  0.1494  0.0775
O  0.1494  0.4916  0.5776
O  0.7299  0.7039  0.1332
O  0.7039  0.7299  0.6332
O  0.9630  0.5260  0.3014
O  0.5260  0.9630  0.8014
O  0.2328  0.2293  0.0192
O  0.2293  0.2328  0.5192
O  0.5201  0.5941  0.0346
O  0.5941  0.5201  0.5346
O  0.3972  0.7401  0.2352
O  0.7401  0.3972  0.7352
O  0.7492  0.8531  0.4533
O  0.8531  0.7492  0.9533
O  0.3709  0.9179  0.4965
O  0.9179  0.3709  0.9965
O  0.9829  0.0092  0.2754
O  0.0092  0.9829  0.7754
O  0.2853  0.5560  0.2400
O  0.5560  0.2853  0.7400
O  0.8345  0.1335  0.4988
O  0.1335  0.8345  0.9988
O  0.6604  0.6529  0.7831
O  0.6529  0.6604  0.2831

Properties
space group = No. 9
spin magnetization = 0.00 Bohr magnetons per cell

---

Entry x
The following is a PBE+U calculation of a geometry-optimized Na3SmV2O8 structure, from the Materials Project.

Unit cell a=5.9879 b=5.9879 c=7.3340 alpha=90.00 beta=90.00 gamma=120.00
Fractional coordinates of all 14 atoms:
Na  0.3333  0.6667  0.6963
Na  0.6667  0.3333  0.3037
Na  0.0000  0.0000  0.0000
Sm  0.0000  0.0000  0.5000
V  0.3333  0.6667  0.2219
V  0.6667  0.3333  0.7781
O  0.3333  0.6667  0.9931
O  0.6667  0.3333  0.0069
O  0.1743  0.8257  0.3067
O  0.8257  0.1743  0.6933
O  0.1743  0.3486  0.3067
O  0.8257  0.6514  0.6933
O  0.6514  0.8257  0.3067
O  0.3486  0.1743  0.6933

Properties
space group = No. 164
spin magnetization = 0.00 Bohr magnetons per cell

---

On energetic grounds, entry w is preferred over the next structure by 6.9 kJ/mol of atoms.

---

Entry w
The following is a PBE+U calculation of a geometry-optimized Na3TbV2O8 structure, from the Materials Project.

Unit cell a=5.6395 b=14.2757 c=14.8659 alpha=91.53 beta=100.93 gamma=90.00
Fractional coordinates of all 84 atoms:
Na  0.7102  0.4171  0.4222
Na  0.7120  0.9171  0.4222
Na  0.8211  0.3290  0.6736
Na  0.8525  0.8290  0.6736
Na  0.6664  0.0755  0.2217
Na  0.5553  0.5755  0.2217
Na  0.4574  0.2355  0.0052
Na  0.5477  0.7355  0.0052
Na  0.9405  0.0091  0.8758
Na  0.9352  0.5091  0.8758
Na  0.3858  0.3906  0.8030
Na  0.4172  0.8906  0.8030
Na  0.0639  0.1530  0.1150
Na  0.0511  0.6530  0.1150
Na  0.2796  0.4718  0.5576
Na  0.2780  0.9718  0.5576
Na  0.1884  0.2942  0.3564
Na  0.1680  0.7942  0.3564
Tb  0.4216  0.6347  0.7628
Tb  0.3412  0.1347  0.7628
Tb  0.9624  0.4006  0.1150
Tb  0.1526  0.9006  0.1150
Tb  0.7722  0.1712  0.4640
Tb  0.6918  0.6712  0.4640
V  0.2970  0.2496  0.5721
V  0.2751  0.7496  0.5721
V  0.9150  0.2572  0.8904
V  0.9753  0.7572  0.8904
V  0.8229  0.0543  0.6540
V  0.8311  0.5543  0.6540
V  0.1994  0.0476  0.3365
V  0.1371  0.5476  0.3365
V  0.5716  0.3080  0.2283
V  0.6567  0.8080  0.2283
V  0.5471  0.0013  0.9996
V  0.4525  0.5013  0.9996
O  0.0794  0.1620  0.8581
O  0.7788  0.6620  0.8581
O  0.5812  0.0235  0.7055
O  0.1243  0.5235  0.7055
O  0.6017  0.3941  0.0085
O  0.4068  0.8941  0.0085
O  0.5376  0.2844  0.5218
O  0.9842  0.7844  0.5218
O  0.6970  0.4177  0.2193
O  0.5223  0.9177  0.2193
O  0.9768  0.3532  0.8310
O  0.8542  0.8532  0.8310
O  0.8749  0.1726  0.6585
O  0.7836  0.6726  0.6585
O  0.4205  0.0779  0.0682
O  0.6477  0.5779  0.0682
O  0.1223  0.5257  0.2188
O  0.0965  0.0257  0.2188
O  0.6404  0.2750  0.3424
O  0.7019  0.7750  0.3424
O  0.3393  0.6415  0.3669
O  0.0276  0.1415  0.3669
O  0.2529  0.3073  0.1952
O  0.9423  0.8073  0.1952
O  0.5068  0.0788  0.3621
O  0.8554  0.5788  0.3621
O  0.2608  0.1309  0.5661
O  0.3054  0.6309  0.5661
O  0.0343  0.3014  0.5123
O  0.4780  0.8014  0.5123
O  0.7693  0.0244  0.5373
O  0.7680  0.5244  0.5373
O  0.4789  0.0331  0.8851
O  0.4061  0.5331  0.8851
O  0.6050  0.2303  0.8634
O  0.2584  0.7303  0.8634
O  0.2504  0.4516  0.3973
O  0.1469  0.9516  0.3973
O  0.6281  0.5008  0.7127
O  0.0846  0.0008  0.7127
O  0.0183  0.2773  0.0082
O  0.9898  0.7773  0.0082
O  0.7141  0.2377  0.1588
O  0.4447  0.7377  0.1588
O  0.1666  0.4952  0.0323
O  0.8657  0.9952  0.0323
O  0.3364  0.7803  0.6888
O  0.3524  0.2803  0.6888

Properties
space group = No. 9
spin magnetization = 0.00 Bohr magnetons per cell

---

Entry x
The following is a PBE+U calculation of a geometry-optimized Na3TbV2O8 structure, from the Materials Project.

Unit cell a=5.9209 b=5.9209 c=7.1705 alpha=90.00 beta=90.00 gamma=120.00
Fractional coordinates of all 14 atoms:
Na  0.3333  0.6667  0.6805
Na  0.6667  0.3333  0.3195
Na  0.0000  0.0000  0.0000
Tb  0.0000  0.0000  0.5000
V  0.3333  0.6667  0.2190
V  0.6667  0.3333  0.7810
O  0.3333  0.6667  0.9850
O  0.6667  0.3333  0.0150
O  0.1733  0.8267  0.3083
O  0.8267  0.1733  0.6917
O  0.1733  0.3467  0.3083
O  0.8267  0.6533  0.6917
O  0.6533  0.8267  0.3083
O  0.3467  0.1733  0.6917

Properties
space group = No. 164
spin magnetization = 0.00 Bohr magnetons per cell

---

On energetic grounds, entry w is preferred over the next structure by 4.7 kJ/mol of atoms.

---

Entry w
The following is a PBE+U calculation of a geometry-optimized NaV6O15 structure, from the Materials Project.

Unit cell a=5.7677 b=8.1321 c=9.0067 alpha=88.24 beta=86.44 gamma=98.58
Fractional coordinates of all 22 atoms:
Na  0.0175  0.9750  0.5085
V  0.0417  0.1938  0.0888
V  0.3594  0.6070  0.4582
V  0.4167  0.7223  0.0898
V  0.5838  0.2743  0.9100
V  0.8071  0.4029  0.5552
V  0.9491  0.7991  0.9221
O  0.9921  0.9882  0.0162
O  0.0763  0.1758  0.2668
O  0.2941  0.3102  0.9894
O  0.1380  0.4511  0.5388
O  0.3268  0.6020  0.2556
O  0.1955  0.6965  0.9541
O  0.3113  0.7908  0.5127
O  0.4607  0.9147  0.1349
O  0.5558  0.0874  0.8495
O  0.7071  0.2167  0.5012
O  0.7907  0.2902  0.0572
O  0.7018  0.4061  0.7590
O  0.6508  0.5763  0.4867
O  0.6897  0.6721  0.0068
O  0.9271  0.8335  0.7444

Properties
space group = No. 1
spin magnetization = 1.00 Bohr magnetons per cell

---

Entry x
The following is a PBE+U calculation of a geometry-optimized NaV6O15 structure, from the Materials Project.

Unit cell a=8.1483 b=8.1483 c=9.6270 alpha=84.81 beta=84.81 gamma=25.93
Fractional coordinates of all 22 atoms:
Na  0.0729  0.0729  0.4182
V  0.3136  0.3136  0.9122
V  0.6831  0.6831  0.1141
V  0.1129  0.1129  0.8718
V  0.9178  0.9178  0.1072
V  0.3913  0.3913  0.5891
V  0.7799  0.7799  0.4211
O  0.0124  0.0124  0.0001
O  0.8182  0.8182  0.9598
O  0.2041  0.2041  0.0695
O  0.6291  0.6291  0.9277
O  0.3851  0.3851  0.0789
O  0.4001  0.4001  0.7732
O  0.6020  0.6020  0.2315
O  0.2316  0.2316  0.8016
O  0.7724  0.7724  0.2382
O  0.0750  0.0750  0.7225
O  0.9431  0.9431  0.2689
O  0.3129  0.3129  0.4395
O  0.8555  0.8555  0.5800
O  0.4879  0.4879  0.5142
O  0.6813  0.6813  0.4859

Properties
space group = No. 8
spin magnetization = 1.00 Bohr magnetons per cell

---

On energetic grounds, entry x is preferred over the next structure by 3.6 kJ/mol of atoms.

---

Entry w
The following is a PBE+U calculation of a geometry-optimized NaV5O8 structure, from the Materials Project.

Unit cell a=5.5190 b=5.5190 c=10.6391 alpha=77.54 beta=77.54 gamma=31.58
Fractional coordinates of all 14 atoms:
Na  0.5095  0.4905  0.0000
V  0.2810  0.2449  0.8731
V  0.2670  0.2621  0.3678
V  0.5060  0.4940  0.5000
V  0.7551  0.7190  0.1269
V  0.7379  0.7330  0.6322
O  0.1583  0.1313  0.0638
O  0.3270  0.3496  0.1838
O  0.1384  0.1191  0.5506
O  0.3589  0.3366  0.6700
O  0.6504  0.6730  0.8162
O  0.6634  0.6411  0.3300
O  0.8687  0.8417  0.9362
O  0.8809  0.8616  0.4494

Properties
space group = No. 5
spin magnetization = 2.00 Bohr magnetons per cell

---

Entry x
The following is a PBE+U calculation of a geometry-optimized NaV5O8 structure, from the Materials Project.

Unit cell a=5.5247 b=5.5247 c=10.2280 alpha=78.38 beta=78.38 gamma=30.54
Fractional coordinates of all 14 atoms:
Na  0.5000  0.5000  0.5000
V  0.2626  0.2626  0.3696
V  0.2660  0.2660  0.8725
V  0.5000  0.5000  0.0000
V  0.7374  0.7374  0.6304
V  0.7340  0.7340  0.1275
O  0.1478  0.1478  0.5562
O  0.3430  0.3430  0.6887
O  0.1271  0.1271  0.0548
O  0.3531  0.3531  0.1692
O  0.6570  0.6570  0.3113
O  0.6469  0.6469  0.8308
O  0.8522  0.8522  0.4438
O  0.8729  0.8729  0.9452

Properties
space group = No. 12
spin magnetization = 10.00 Bohr magnetons per cell

---

On energetic grounds, entry w is preferred over the next structure by 3.5 kJ/mol of atoms.